1.
Compound: BaLaMnInO6
Source: Materials Project
Functional: PBE with a Hubbard U
Structure: optimized geometry

POSCAR file:
```
BaLaMnInO6
1.0
0.000 4.056 4.056
4.056 0.000 4.056
4.056 4.056 0.000
Ba La Mn In O
1 1 1 1 6
Direct
0.000 0.000 0.000
0.500 0.500 0.500
0.750 0.750 0.750
0.250 0.250 0.250
0.513 0.513 0.987
0.513 0.987 0.513
0.513 0.987 0.987
0.987 0.513 0.513
0.987 0.513 0.987
0.987 0.987 0.513
```

Summary:
Formation enthalpy at 0 K, eV per atom: -2.598
Total energy after the MP2020 corrections, eV per cell: -74.44
Energy above the most stable polymorph in this dataset, meV per atom: 35

---

2.
Compound: Mn4O7F
Source: Materials Project
Functional: PBE with a Hubbard U
Structure: optimized geometry

POSCAR file:
```
Mn4O7F
1.0
6.984 0.000 0.000
0.000 4.953 0.000
-1.436 0.000 6.965
Mn O F
8 14 2
Direct
0.000 0.005 0.000
0.000 0.995 0.500
0.348 0.474 0.635
0.348 0.526 0.135
0.509 0.012 0.995
0.509 0.988 0.495
0.857 0.493 0.647
0.857 0.507 0.147
0.102 0.337 0.134
0.102 0.663 0.634
0.255 0.156 0.512
0.255 0.844 0.012
0.367 0.336 0.898
0.367 0.664 0.398
0.602 0.314 0.639
0.602 0.686 0.139
0.760 0.183 0.014
0.760 0.817 0.514
0.864 0.322 0.402
0.864 0.678 0.902
0.991 0.167 0.744
0.991 0.833 0.244
0.484 0.207 0.249
0.484 0.793 0.749
```

Summary:
Formation enthalpy at 0 K, eV per atom: -1.884
Total energy after the MP2020 corrections, eV per cell: -191.62
Energy above the most stable polymorph in this dataset, meV per atom: 6

---

3.
Compound: Li2Mn3NbO8
Source: Materials Project
Functional: PBE with a Hubbard U
Structure: optimized geometry

POSCAR file:
```
Li2Mn3NbO8
1.0
8.634 0.000 0.000
0.000 8.634 0.000
0.000 0.000 8.634
Li Mn Nb O
8 12 4 32
Direct
0.007 0.007 0.007
0.243 0.243 0.243
0.257 0.757 0.743
0.493 0.993 0.507
0.507 0.493 0.993
0.743 0.257 0.757
0.757 0.743 0.257
0.993 0.507 0.493
0.123 0.127 0.625
0.125 0.377 0.873
0.127 0.625 0.123
0.373 0.375 0.623
0.375 0.623 0.373
0.377 0.873 0.125
0.623 0.373 0.375
0.625 0.123 0.127
0.627 0.875 0.877
0.873 0.125 0.377
0.875 0.877 0.627
0.877 0.627 0.875
0.125 0.875 0.375
0.375 0.125 0.875
0.625 0.625 0.625
0.875 0.375 0.125
0.103 0.108 0.372
0.108 0.372 0.103
0.109 0.609 0.891
0.122 0.642 0.353
0.128 0.897 0.608
0.141 0.359 0.641
0.142 0.147 0.878
0.147 0.878 0.142
0.353 0.122 0.642
0.358 0.853 0.378
0.359 0.641 0.141
0.372 0.103 0.108
0.378 0.358 0.853
0.391 0.391 0.391
0.392 0.628 0.603
0.397 0.892 0.872
0.603 0.392 0.628
0.608 0.128 0.897
0.609 0.891 0.109
0.622 0.858 0.647
0.628 0.603 0.392
0.641 0.141 0.359
0.642 0.353 0.122
0.647 0.622 0.858
0.853 0.378 0.358
0.858 0.647 0.622
0.859 0.859 0.859
0.872 0.397 0.892
0.878 0.142 0.147
0.891 0.109 0.609
0.892 0.872 0.397
0.897 0.608 0.128
```

Summary:
Formation enthalpy at 0 K, eV per atom: -2.311
Total energy after the MP2020 corrections, eV per cell: -453.36
Energy above the most stable polymorph in this dataset, meV per atom: 49

---

4.
Compound: Li2V3SnO8
Source: Materials Project
Functional: PBE with a Hubbard U
Structure: optimized geometry

POSCAR file:
```
Li2V3SnO8
1.0
6.005 0.000 0.000
2.953 5.235 0.000
2.910 1.757 10.245
Li V Sn O
4 6 2 16
Direct
0.059 0.059 0.314
0.431 0.445 0.181
0.569 0.555 0.819
0.941 0.941 0.686
0.000 0.000 0.000
0.000 0.500 0.000
0.000 0.500 0.500
0.500 0.000 0.000
0.500 0.000 0.500
0.500 0.500 0.500
0.259 0.246 0.750
0.741 0.754 0.250
0.089 0.647 0.119
0.138 0.132 0.100
0.147 0.598 0.615
0.155 0.132 0.617
0.371 0.375 0.401
0.373 0.345 0.886
0.374 0.896 0.885
0.395 0.848 0.384
0.605 0.152 0.616
0.626 0.104 0.115
0.627 0.655 0.114
0.629 0.625 0.599
0.845 0.868 0.383
0.853 0.402 0.385
0.862 0.868 0.900
0.911 0.353 0.881
```

Summary:
Formation enthalpy at 0 K, eV per atom: -2.408
Total energy after the MP2020 corrections, eV per cell: -216.75
Energy above the most stable polymorph in this dataset, meV per atom: 21

---

5.
Compound: RbCrCoF6
Source: Materials Project
Functional: PBE with a Hubbard U
Structure: optimized geometry

POSCAR file:
```
RbCrCoF6
1.0
-3.680 3.701 5.250
3.680 -3.701 5.250
3.680 3.701 -5.250
Rb Cr Co F
2 2 2 12
Direct
0.371 0.121 0.250
0.629 0.879 0.750
0.000 0.500 0.500
0.500 0.500 0.000
0.000 0.000 0.500
0.000 0.500 0.000
0.077 0.827 0.250
0.078 0.431 0.263
0.078 0.815 0.647
0.315 0.565 0.750
0.332 0.185 0.763
0.332 0.569 0.147
0.668 0.431 0.853
0.668 0.815 0.237
0.685 0.435 0.250
0.922 0.185 0.353
0.922 0.569 0.737
0.923 0.173 0.750
```

Summary:
Formation enthalpy at 0 K, eV per atom: -2.854
Total energy after the MP2020 corrections, eV per cell: -109.84

---

Q: Number 1 is which compound?
A: BaLaMnInO6

---

What did the fourth record say?
Compound: Li2V3SnO8
Source: Materials Project
Functional: PBE with a Hubbard U
Structure: optimized geometry

POSCAR file:
```
Li2V3SnO8
1.0
6.005 0.000 0.000
2.953 5.235 0.000
2.910 1.757 10.245
Li V Sn O
4 6 2 16
Direct
0.059 0.059 0.314
0.431 0.445 0.181
0.569 0.555 0.819
0.941 0.941 0.686
0.000 0.000 0.000
0.000 0.500 0.000
0.000 0.500 0.500
0.500 0.000 0.000
0.500 0.000 0.500
0.500 0.500 0.500
0.259 0.246 0.750
0.741 0.754 0.250
0.089 0.647 0.119
0.138 0.132 0.100
0.147 0.598 0.615
0.155 0.132 0.617
0.371 0.375 0.401
0.373 0.345 0.886
0.374 0.896 0.885
0.395 0.848 0.384
0.605 0.152 0.616
0.626 0.104 0.115
0.627 0.655 0.114
0.629 0.625 0.599
0.845 0.868 0.383
0.853 0.402 0.385
0.862 0.868 0.900
0.911 0.353 0.881
```

Summary:
Formation enthalpy at 0 K, eV per atom: -2.408
Total energy after the MP2020 corrections, eV per cell: -216.75
Energy above the most stable polymorph in this dataset, meV per atom: 21

---

Q: Which value of formation enthalpy at 0 K does entry 5 give?
A: -2.854 eV per atom

---

Q: Number 1 is which compound?
A: BaLaMnInO6